No. 1
Computed, not measured: a geometry-optimized Na2Cr2O7 structure at the meta-GGA r2SCAN level of DFT.

- ΔE to the lowest computed polymorph: 0.51 kJ/mol of atoms

abc: 6.7128 6.8746 7.1821
angles: 66.41 89.89 85.48
Last column: nearest neighbours and their distance in Å.
Space group P-1 (No. 2)
Asymmetric unit:
Na  0.1204  0.2377  0.3526 (multiplicity 2)  6 O 2.34-2.56
Na  0.3677  0.3823  0.7548 (multiplicity 2)  6 O 2.35-2.62
Cr  0.1522  0.7451  0.2376 (multiplicity 2)  4 O 1.61-1.76
Cr  0.3847  0.8517  0.8107 (multiplicity 2)  4 O 1.61-1.77
O  0.0322  0.3366  0.8460 (multiplicity 2)  1 Cr 1.61
O  0.0703  0.9076  0.3372 (multiplicity 2)  1 Cr 1.61
O  0.2327  0.7150  0.7500 (multiplicity 2)  1 Cr 1.61
O  0.2810  0.5385  0.4051 (multiplicity 2)  1 Cr 1.63
O  0.3122  0.8725  0.0397 (multiplicity 2)  2 Cr 1.76-1.77
O  0.3844  0.0908  0.6371 (multiplicity 2)  1 Cr 1.62
O  0.3940  0.2735  0.1431 (multiplicity 2)  1 Cr 1.62

=====

No. 2
Computed, not measured: a geometry-optimized V4As2O13 structure at the meta-GGA r2SCAN level of DFT.

abc: 4.9478 4.9598 8.8132
angles: 79.53 89.65 80.65
Last column: nearest neighbours and their distance in Å.
Space group P1 (No. 1)
Asymmetric unit:
V  0.0000  0.0000  0.0000 (multiplicity 1)  1 O 1.67
V  0.2046  0.1647  0.3885 (multiplicity 1)  1 O 1.73
V  0.4959  0.2863  0.7432 (multiplicity 1)  1 O 1.67
V  0.7753  0.8262  0.3245 (multiplicity 1)  2 O 1.69-1.84
As  0.5192  0.4978  0.0954 (multiplicity 1)  4 O 1.67-1.72
As  0.9535  0.7354  0.6847 (multiplicity 1)  4 O 1.67-1.74
O  0.9998  0.4871  0.3646 (multiplicity 1)  2 V 1.73-1.84
O  0.0320  0.0380  0.2130 (multiplicity 1)  3 V 1.93-2.01
O  0.1922  0.6195  0.0412 (multiplicity 1)  1 As 1.67
O  0.2407  0.1391  0.8943 (multiplicity 1)  1 V 1.67
O  0.2896  0.6510  0.7306 (multiplicity 1)  1 As 1.68
O  0.3809  0.2041  0.5828 (multiplicity 1)  1 V 1.67
O  0.4675  0.8074  0.4065 (multiplicity 1)  1 V 1.69
O  0.5229  0.2670  0.2645 (multiplicity 1)  1 As 1.70
O  0.6791  0.7707  0.1179 (multiplicity 1)  1 As 1.72
O  0.6881  0.3281  0.9621 (multiplicity 1)  1 As 1.70
O  0.7930  0.9310  0.8113 (multiplicity 1)  1 As 1.72
O  0.8072  0.4627  0.6658 (multiplicity 1)  1 As 1.67
O  0.9377  0.9481  0.5039 (multiplicity 1)  1 As 1.74

=====

No. 3
Computed, not measured: a geometry-optimized Li2Te2O5 structure at the meta-GGA r2SCAN level of DFT.

abc: 8.2394 24.0404 5.1453
angles: 90.00 90.00 90.00
Last column: nearest neighbours and their distance in Å.
Space group Pccn (No. 56)
Asymmetric unit:
Li  0.1519  0.0825  0.1384 (multiplicity 8)  4 O 1.94-1.95
Li  0.1596  0.1685  0.8204 (multiplicity 8)  4 O 1.94-2.09
Te  0.0645  0.6946  0.1727 (multiplicity 8)  3 O 1.85-1.96
Te  0.0716  0.5561  0.8567 (multiplicity 8)  3 O 1.86-1.97
O  0.0067  0.5339  0.1954 (multiplicity 8)  1 Te 1.90, 1 Li 1.95
O  0.0267  0.2220  0.6358 (multiplicity 8)  1 Te 1.88, 1 Li 1.94
O  0.1194  0.1614  0.1919 (multiplicity 8)  1 Te 1.85, 3 Li 1.94-1.95
O  0.1258  0.0831  0.7627 (multiplicity 8)  1 Te 1.86, 2 Li 1.94
O  0.1475  0.6280  0.9965 (multiplicity 8)  2 Te 1.96-1.97

=====

No. 4
Computed, not measured: a geometry-optimized Ho2Co12P7 structure at the meta-GGA r2SCAN level of DFT.

abc: 8.9159 8.9159 3.5766
angles: 90.00 90.00 120.00
Last column: nearest neighbours and their distance in Å.
Space group P-6 (No. 174)
Asymmetric unit:
Ho  0.0000  0.0000  0.0000 (multiplicity 1)  6 P 2.82, 12 Co 2.94-3.16
Ho  0.3333  0.6667  0.5000 (multiplicity 1)  6 P 2.80, 9 Co 2.90-3.08
Co  0.0484  0.7664  0.5000 (multiplicity 3)  4 P 2.23-2.29
Co  0.0993  0.3930  0.0000 (multiplicity 3)  4 P 2.22-2.28, 1 Co 2.47
Co  0.3939  0.2139  0.0000 (multiplicity 3)  4 P 2.11-2.27
Co  0.5386  0.1056  0.5000 (multiplicity 3)  3 P 2.23-2.46
P  0.0752  0.6298  0.0000 (multiplicity 3)  5 Co 2.18-2.24
P  0.2629  0.0410  0.5000 (multiplicity 3)  7 Co 2.23-2.29
P  0.6667  0.3333  0.0000 (multiplicity 1)  3 Co 2.11

=====

No. 5
Computed, not measured: a geometry-optimized TaVO5 structure at the meta-GGA r2SCAN level of DFT.

abc: 11.9140 5.5626 6.9903
angles: 90.00 90.00 90.00
Last column: nearest neighbours and their distance in Å.
Space group Pnma (No. 62)
Asymmetric unit:
Ta  0.0586  0.2500  0.1573 (multiplicity 4)  6 O 1.91-2.05
V  0.1544  0.7500  0.4699 (multiplicity 4)  4 O 1.70-1.73
O  0.0000  0.0000  0.0000 (multiplicity 4)  2 Ta 1.91
O  0.0772  0.7500  0.6778 (multiplicity 4)  1 V 1.72
O  0.1238  0.0006  0.3413 (multiplicity 8)  1 V 1.70
O  0.2043  0.2500  0.0265 (multiplicity 4)  1 V 1.73

=====

No. 6
Computed, not measured: a geometry-optimized SmPO4 structure at the meta-GGA r2SCAN level of DFT.

abc: 7.0210 7.0210 6.3004
angles: 90.00 90.00 120.00
Last column: nearest neighbours and their distance in Å.
Space group P3_221 (No. 154)
Asymmetric unit:
Sm  0.0000  0.4950  0.3333 (multiplicity 3)  8 O 2.37-2.52
P  0.0000  0.4915  0.8333 (multiplicity 3)  4 O 1.53
O  0.1379  0.4366  0.9836 (multiplicity 6)  1 P 1.53
O  0.1386  0.6843  0.6841 (multiplicity 6)  1 P 1.53

=====

No. 7
Computed, not measured: a geometry-optimized SmGe2Pt structure at the meta-GGA r2SCAN level of DFT.

abc: 4.4014 8.7552 16.4342
angles: 90.00 90.00 90.00
Last column: nearest neighbours and their distance in Å.
Space group Immm (No. 71)
Asymmetric unit:
Sm  0.0000  0.0000  0.2026 (multiplicity 4)  8 Ge 3.04-3.06, 6 Pt 3.25
Sm  0.0000  0.2381  0.0000 (multiplicity 4)  10 Ge 3.27-3.41, 4 Pt 3.30
Ge  0.0000  0.0000  0.4267 (multiplicity 4)  1 Ge 2.41, 2 Pt 2.49
Ge  0.0000  0.3490  0.1988 (multiplicity 8)  3 Pt 2.49-2.66, 1 Ge 2.64
Ge  0.0000  0.5000  0.4257 (multiplicity 4)  1 Ge 2.44, 2 Pt 2.54
Pt  0.0000  0.2466  0.3508 (multiplicity 8)  5 Ge 2.49-2.66

=====

No. 8
Computed, not measured: a geometry-optimized PrNi5 structure at the meta-GGA r2SCAN level of DFT.

abc: 4.9320 4.9320 3.9301
angles: 90.00 90.00 120.00
Last column: nearest neighbours and their distance in Å.
Space group P6/mmm (No. 191)
Asymmetric unit:
Pr  0.0000  0.0000  0.0000 (multiplicity 1)  18 Ni 2.85-3.15
Ni  0.0000  0.5000  0.5000 (multiplicity 3)  8 Ni 2.43-2.47
Ni  0.3333  0.6667  0.0000 (multiplicity 2)  6 Ni 2.43

=====

Number 1: ΔE_f -1.9343 eV per atom, M_tot 0.00 μB per formula unit. Number 2: ΔE_f -2.1172 eV per atom, M_tot 4.00 μB per formula unit. Number 3: ΔE_f -1.5873 eV per atom, M_tot 0.00 μB per formula unit. Number 4: ΔE_f -0.7429 eV per atom, M_tot 6.59 μB per formula unit. Number 5: ΔE_f -2.8111 eV per atom, M_tot 0.00 μB per formula unit. Number 6: ΔE_f -3.2709 eV per atom, M_tot 0.00 μB per formula unit. Number 7: ΔE_f -0.9775 eV per atom, M_tot 0.00 μB per formula unit. Number 8: ΔE_f -0.2251 eV per atom, M_tot 1.87 μB per formula unit.